# Li2CoCl4

A relaxed Li2CoCl4 crystal (PBE, the Materials Project database).

Computed properties:
space-group type = No. 1
E = -160.34 eV for the cell shown
ΔH_f (0 K) = -10.86 eV per formula unit

Lattice parameters (Å, degrees): 7.223 7.306 17.772 89.26 89.32 61.76
Positions (direct):
Li: 0.000 0.000 0.000
Li: 0.048 0.900 0.513
Li: 0.158 0.686 0.166
Li: 0.273 0.116 0.151
Li: 0.326 0.847 0.331
Li: 0.382 0.245 0.845
Li: 0.493 0.014 0.498
Li: 0.609 0.458 0.484
Li: 0.659 0.182 0.665
Li: 0.710 0.581 0.177
Li: 0.828 0.342 0.830
Li: 0.944 0.792 0.816
Co: 0.178 0.173 0.662
Co: 0.334 0.330 0.333
Co: 0.509 0.505 0.996
Co: 0.669 0.664 0.667
Co: 0.845 0.838 0.329
Co: 0.995 0.513 0.998
Cl: 0.004 0.985 0.252
Cl: 0.007 0.514 0.255
Cl: 0.137 0.210 0.921
Cl: 0.157 0.671 0.407
Cl: 0.175 0.660 0.921
Cl: 0.188 0.171 0.410
Cl: 0.314 0.364 0.072
Cl: 0.338 0.318 0.586
Cl: 0.340 0.816 0.079
Cl: 0.340 0.848 0.588
Cl: 0.471 0.512 0.253
Cl: 0.490 0.004 0.741
Cl: 0.508 0.013 0.255
Cl: 0.523 0.506 0.744
Cl: 0.658 0.703 0.409
Cl: 0.659 0.166 0.408
Cl: 0.666 0.193 0.919
Cl: 0.684 0.654 0.923
Cl: 0.804 0.847 0.587
Cl: 0.828 0.347 0.074
Cl: 0.841 0.345 0.589
Cl: 0.852 0.802 0.079
Cl: 0.989 0.502 0.741
Cl: 0.993 0.036 0.743


# GaSiNi6

A relaxed GaSiNi6 crystal (PBE, the Materials Project database).

Computed properties:
space-group type = No. 123
E = -46.13 eV for the cell shown
ΔH_f (0 K) = -3.00 eV per formula unit

Lattice parameters (Å, degrees): 3.537 3.537 7.044 90.00 90.00 90.00
Positions (direct):
Ga: 0.000 0.000 0.000
Si: 0.000 0.000 0.500
Ni: 0.000 0.500 0.259
Ni: 0.000 0.500 0.741
Ni: 0.500 0.000 0.259
Ni: 0.500 0.000 0.741
Ni: 0.500 0.500 0.000
Ni: 0.500 0.500 0.500